[1]
Material: Li3CrO3
Method: DFT, GGA+U
State: relaxed

POSCAR file:
```
Li3CrO3
1.0
2.728 -4.725 0.000
2.728 4.725 0.000
0.000 0.000 9.812
Li O Cr
12 12 4
direct
0.057 0.377 0.922
0.057 0.680 0.578
0.623 0.943 0.578
0.320 0.377 0.578
0.377 0.320 0.078
0.680 0.057 0.078
0.377 0.057 0.422
0.623 0.680 0.922
0.943 0.623 0.078
0.943 0.320 0.422
0.680 0.623 0.422
0.320 0.943 0.922
0.044 0.706 0.368
0.294 0.338 0.368
0.338 0.044 0.632
0.662 0.706 0.132
0.662 0.956 0.368
0.338 0.294 0.868
0.956 0.294 0.632
0.294 0.956 0.132
0.706 0.044 0.868
0.956 0.662 0.868
0.044 0.338 0.132
0.706 0.662 0.632
0.333 0.667 0.250
0.000 0.000 0.250
0.000 0.000 0.750
0.667 0.333 0.750
```

Results
ΔE_f, kJ/mol of formula units: -1480
Crystal system: trigonal
Total magnetic moment, μB/cell: 12.003

=====

[2]
Material: Li6Cr2O7
Method: DFT, GGA+U
State: relaxed

POSCAR file:
```
Li6Cr2O7
1.0
-1.763 -1.404 5.350
-4.515 -1.357 -1.844
-0.002 -9.479 -2.488
O Li Cr
14 12 4
direct
0.765 0.485 0.263
0.007 0.945 0.254
0.265 0.515 0.237
0.735 0.485 0.763
0.493 0.945 0.754
0.507 0.055 0.246
0.235 0.515 0.737
0.993 0.055 0.746
0.225 0.016 0.994
0.725 0.984 0.506
0.775 0.984 0.006
0.000 0.500 0.000
0.275 0.016 0.494
0.500 0.500 0.500
0.769 0.764 0.868
0.283 0.771 0.363
0.495 0.192 0.869
0.717 0.229 0.637
0.269 0.236 0.632
0.005 0.192 0.369
0.995 0.808 0.631
0.231 0.236 0.132
0.505 0.808 0.131
0.783 0.229 0.137
0.731 0.764 0.368
0.217 0.771 0.863
0.507 0.260 0.367
0.007 0.740 0.133
0.993 0.260 0.867
0.493 0.740 0.633
```

Results
ΔE_f, kJ/mol of formula units: -3042
Polymorph energy (0 for the lowest one), meV/atom: 66
Crystal system: monoclinic
Total magnetic moment, μB/cell: 0.001